[1]
PbSe (GGA-PBE, optimized geometry); SG = No. 62
1.0
13.2198 0.0000 0.0000
0.0000 4.4565 0.0000
0.0000 0.0000 4.4152
Pb Se
4 4
Cartesian
1.8563 1.1141 0.3961 Pb
4.7536 3.3423 2.6037 Pb
8.4662 1.1141 1.8115 Pb
11.3635 3.3423 4.0191 Pb
1.8813 3.3423 2.4206 Se
4.7286 1.1141 0.2130 Se
8.4912 3.3423 4.2022 Se
11.3386 1.1141 1.9946 Se

[2]
Cs2PuO4 (GGA-PBE, optimized geometry); SG = No. 139
1.0
-2.1984 2.1984 7.5943
2.1984 -2.1984 7.5943
2.1984 2.1984 -7.5943
Cs Pu O
2 1 4
Cartesian
0.0000 0.0000 2.3131 Cs
0.0000 0.0000 12.8754 Cs
0.0000 0.0000 7.5943 Pu
2.1984 0.0000 0.0000 O
0.0000 0.0000 5.6765 O
0.0000 2.1984 0.0000 O
0.0000 0.0000 9.5120 O

| no. | calculated formation energy (meV/atom) |
| --- | --- |
| 1 | -744 |
| 2 | -2700 |